A geometry-optimized Li2FePCO7 structure, computed with PBE with a Hubbard U.

POSCAR file:
```
Li2FePCO7
1.0
5.064 0.000 0.000
-0.320 6.418 0.000
-0.885 -0.975 8.403
Li Fe P C O
4 2 2 2 14
direct
0.000 0.000 0.000 Li
0.047 0.606 0.668 Li
0.553 0.878 0.500 Li
0.890 0.435 0.999 Li
0.087 0.220 0.417 Fe
0.462 0.706 0.094 Fe
0.006 0.708 0.329 P
0.542 0.215 0.177 P
0.579 0.710 0.808 C
0.959 0.196 0.696 C
0.023 0.534 0.439 O
0.114 0.634 0.168 O
0.174 0.905 0.413 O
0.178 0.290 0.659 O
0.333 0.699 0.840 O
0.387 0.013 0.089 O
0.426 0.276 0.334 O
0.525 0.394 0.068 O
0.655 0.702 0.671 O
0.709 0.760 0.294 O
0.756 0.726 0.938 O
0.797 0.119 0.572 O
0.845 0.172 0.206 O
0.912 0.191 0.840 O
```

Results
Theoretical density = 2.7 g cm⁻³
SG = P1, No. 1
Relative energy among the computed polymorphs = 166 meV/atom
Magnetic moment = 4.2 Bohr magnetons per cell